1.
A relaxed Ce2Fe2Se2O3 crystal, computed with GGA+U.

Values from the calculation:
Crystal system   tetragonal
Energy of formation   -1874 kJ/mol of formula units
Total magnetic moment   9.8 μB per cell

Cell: 9.7900 9.7900 9.7900 Å, 156.02 156.02 34.18°
Fractional coordinates of all 9 atoms:
Ce: 0.1858 0.1858 0.0000
Ce: 0.8142 0.8142 0.0000
Fe: 0.0000 0.5000 0.5000
Fe: 0.5000 0.0000 0.5000
Se: 0.3996 0.3996 0.0000
Se: 0.6004 0.6004 0.0000
O: 0.0000 0.0000 0.0000
O: 0.2500 0.7500 0.5000
O: 0.7500 0.2500 0.5000

---

2.
A relaxed Ce2FeSe2O2 crystal, computed with GGA+U.

Values from the calculation:
Crystal system   orthorhombic
Energy of formation   -1478 kJ/mol of formula units
Total magnetic moment   0.9 μB per cell

Cell: 8.4426 8.4426 17.2901 Å, 90.00 90.00 152.82°
Fractional coordinates of all 28 atoms:
Ce: 0.0739 0.9261 0.5000
Ce: 0.0745 0.9255 0.8355
Ce: 0.2288 0.7712 0.0083
Ce: 0.2317 0.7683 0.3272
Ce: 0.7683 0.2317 0.8272
Ce: 0.7712 0.2288 0.5083
Ce: 0.9261 0.0739 0.0000
Ce: 0.9255 0.0745 0.3355
Fe: 0.3671 0.6329 0.1666
Fe: 0.4118 0.5882 0.6937
Fe: 0.5882 0.4118 0.1937
Fe: 0.6329 0.3671 0.6666
Se: 0.0056 0.9944 0.6655
Se: 0.2591 0.7409 0.6659
Se: 0.4204 0.5796 0.8455
Se: 0.4208 0.5792 0.4840
Se: 0.5792 0.4208 0.9840
Se: 0.5796 0.4204 0.3455
Se: 0.7409 0.2591 0.1659
Se: 0.9944 0.0056 0.1655
O: 0.2104 0.7896 0.4615
O: 0.2112 0.7888 0.8716
O: 0.3704 0.6296 0.2818
O: 0.3706 0.6294 0.0518
O: 0.6294 0.3706 0.5518
O: 0.6296 0.3704 0.7818
O: 0.7888 0.2112 0.3716
O: 0.7896 0.2104 0.9615

---

3.
A relaxed CeMn2Ge4O12 crystal, computed with GGA+U.

Values from the calculation:
Crystal system   tetragonal
Energy of formation   -4412 kJ/mol of formula units
Total magnetic moment   20.0 μB per cell

Cell: 9.9887 9.9887 4.9690 Å, 90.00 90.00 90.00°
Fractional coordinates of all 38 atoms:
Ce: 0.2500 0.2500 0.0000
Ce: 0.7500 0.7500 0.0000
Mn: 0.0000 0.0000 0.0000
Mn: 0.0000 0.5000 0.0000
Mn: 0.5000 0.0000 0.0000
Mn: 0.5000 0.5000 0.0000
Ge: 0.0240 0.7500 0.5000
Ge: 0.2500 0.5240 0.5000
Ge: 0.2500 0.9760 0.5000
Ge: 0.4760 0.7500 0.5000
Ge: 0.5240 0.2500 0.5000
Ge: 0.7500 0.0240 0.5000
Ge: 0.7500 0.4760 0.5000
Ge: 0.9760 0.2500 0.5000
O: 0.0637 0.1666 0.2440
O: 0.0637 0.3334 0.7560
O: 0.1300 0.6300 0.6730
O: 0.1300 0.8700 0.3270
O: 0.1666 0.0637 0.7560
O: 0.1666 0.4363 0.2440
O: 0.3334 0.0637 0.2440
O: 0.3334 0.4363 0.7560
O: 0.3700 0.6300 0.3270
O: 0.3700 0.8700 0.6730
O: 0.4363 0.1666 0.7560
O: 0.4363 0.3334 0.2440
O: 0.5637 0.6666 0.7560
O: 0.5637 0.8334 0.2440
O: 0.6300 0.1300 0.3270
O: 0.6300 0.3700 0.6730
O: 0.6666 0.5637 0.2440
O: 0.6666 0.9363 0.7560
O: 0.8334 0.5637 0.7560
O: 0.8334 0.9363 0.2440
O: 0.8700 0.1300 0.6730
O: 0.8700 0.3700 0.3270
O: 0.9363 0.6666 0.2440
O: 0.9363 0.8334 0.7560